Entry 1:
The following is a DFT calculation (PBE+U) of a relaxed Li3Mn5Co2O12 crystal.

```
data_Li3Mn5Co2O12
_cell_length_a 5.216
_cell_length_b 8.941
_cell_length_c 29.151
_cell_angle_alpha 90.00
_cell_angle_beta 90.66
_cell_angle_gamma 90.00
_space_group_name_H-M_alt 'C 1 2 1'
_space_group_IT_number 5
loop_
_space_group_symop_operation_xyz
'x,y,z'
'-x,y,-z'
'x+1/2,y+1/2,z'
'-x+1/2,y+1/2,-z'
loop_
_atom_site_label
_atom_site_type_symbol
_atom_site_fract_x
_atom_site_fract_y
_atom_site_fract_z
Li1 Li 0.000 0.000 0.000
Li2 Li 0.001 0.978 0.749
Li3 Li 0.161 0.495 0.333
Li4 Li 0.167 0.156 0.586
Li5 Li 0.170 0.479 0.082
Mn1 Mn 0.000 0.645 0.500
Mn2 Mn 0.000 0.659 0.000
Mn3 Mn 0.000 0.984 0.500
Mn4 Mn 0.010 0.327 0.252
Mn5 Mn 0.160 0.822 0.585
Mn6 Mn 0.161 0.827 0.081
Mn7 Mn 0.166 0.141 0.833
Mn8 Mn 0.166 0.486 0.833
Mn9 Mn 0.172 0.157 0.334
Co1 Co 0.000 0.318 0.500
Co2 Co 0.000 0.327 0.000
Co3 Co 0.165 0.811 0.833
Co4 Co 0.167 0.831 0.334
O1 O 0.001 0.681 0.630
O2 O 0.013 0.989 0.368
O3 O 0.016 0.967 0.875
O4 O 0.021 0.642 0.132
O5 O 0.035 0.304 0.375
O6 O 0.041 0.326 0.874
O7 O 0.133 0.485 0.964
O8 O 0.133 0.818 0.960
O9 O 0.140 0.180 0.703
O10 O 0.140 0.809 0.458
O11 O 0.149 0.142 0.202
O12 O 0.185 0.154 0.464
O13 O 0.186 0.468 0.209
O14 O 0.188 0.178 0.963
O15 O 0.194 0.486 0.702
O16 O 0.196 0.818 0.707
O17 O 0.199 0.479 0.460
O18 O 0.210 0.826 0.207
```


Entry 2:
The following is a DFT calculation (PBE+U) of a relaxed Li7Mn2Co3O12 crystal.

```
data_Li7Mn2Co3O12
_cell_length_a 2.960
_cell_length_b 5.059
_cell_length_c 14.598
_cell_angle_alpha 81.32
_cell_angle_beta 85.18
_cell_angle_gamma 88.43
_space_group_name_H-M_alt 'P 1'
_space_group_IT_number 1
loop_
_space_group_symop_operation_xyz
'x,y,z'
loop_
_atom_site_label
_atom_site_type_symbol
_atom_site_fract_x
_atom_site_fract_y
_atom_site_fract_z
Li1 Li 0.000 0.000 0.000
Li2 Li 0.067 0.412 0.843
Li3 Li 0.140 0.826 0.687
Li4 Li 0.316 0.667 0.342
Li5 Li 0.491 0.484 0.002
Li6 Li 0.640 0.331 0.686
Li7 Li 0.819 0.160 0.345
Mn1 Mn 0.730 0.745 0.513
Mn2 Mn 0.904 0.576 0.175
Co1 Co 0.229 0.245 0.513
Co2 Co 0.404 0.077 0.174
Co3 Co 0.567 0.911 0.844
O1 O 0.038 0.723 0.917
O2 O 0.095 0.101 0.770
O3 O 0.162 0.527 0.591
O4 O 0.303 0.964 0.434
O5 O 0.374 0.398 0.251
O6 O 0.432 0.750 0.101
O7 O 0.529 0.166 0.919
O8 O 0.606 0.657 0.770
O9 O 0.654 0.037 0.587
O10 O 0.810 0.456 0.437
O11 O 0.865 0.859 0.252
O12 O 0.940 0.294 0.098
```


no.,VASP energy (eV for the cell shown)
1,-877.4
2,-139.6